{
  "formula": "Na6In4Si3S3O24",
  "functional": "GGA-PBE",
  "state": "relaxed",
  "energy_mp2020_ev_per_atom": -6.437,
  "ef_ev_per_atom": -2.278,
  "cell": [[9.201, 0.000, 0.000], [4.570, 8.012, 0.000], [0.124, 0.006, 22.883]],
  "species": ["Na", "Na", "Na", "Na", "Na", "Na", "Na", "Na", "Na", "Na", "Na", "Na", "Na", "Na", "Na", "Na", "Na", "Na", "In", "In", "In", "In", "In", "In", "In", "In", "In", "In", "In", "In", "Si", "Si", "Si", "Si", "Si", "Si", "Si", "Si", "Si", "S", "S", "S", "S", "S", "S", "S", "S", "S", "O", "O", "O", "O", "O", "O", "O", "O", "O", "O", "O", "O", "O", "O", "O", "O", "O", "O", "O", "O", "O", "O", "O", "O", "O", "O", "O", "O", "O", "O", "O", "O", "O", "O", "O", "O", "O", "O", "O", "O", "O", "O", "O", "O", "O", "O", "O", "O", "O", "O", "O", "O", "O", "O", "O", "O", "O", "O", "O", "O", "O", "O", "O", "O", "O", "O", "O", "O", "O", "O", "O", "O"],
  "frac_coords": [[0.000, 0.000, 0.000], [0.001, 0.357, 0.272], [0.011, 0.707, 0.504], [0.030, 0.033, 0.682], [0.031, 0.659, 0.194], [0.343, 0.335, 0.357], [0.345, 0.038, 0.841], [0.362, 0.662, 0.589], [0.365, 0.680, 0.097], [0.630, 0.367, 0.512], [0.641, 0.713, 0.012], [0.674, 0.403, 0.185], [0.676, 0.021, 0.430], [0.677, 0.642, 0.674], [0.689, 0.017, 0.921], [0.721, 0.320, 0.837], [0.724, 0.675, 0.349], [0.998, 0.363, 0.761], [0.003, 0.371, 0.413], [0.350, 0.674, 0.445], [0.353, 0.677, 0.747], [0.355, 0.682, 0.940], [0.359, 0.686, 0.252], [0.652, 0.039, 0.574], [0.667, 0.026, 0.080], [0.694, 0.009, 0.283], [0.697, 0.015, 0.780], [0.993, 0.355, 0.909], [0.993, 0.367, 0.111], [0.997, 0.363, 0.606], [0.052, 0.688, 0.344], [0.053, 0.978, 0.847], [0.302, 0.355, 0.510], [0.645, 0.694, 0.845], [0.651, 0.381, 0.344], [0.671, 0.730, 0.177], [0.677, 0.319, 0.678], [0.702, 0.353, 0.013], [0.702, 0.664, 0.513], [0.014, 0.055, 0.513], [0.015, 0.649, 0.012], [0.300, 0.066, 0.012], [0.339, 0.988, 0.345], [0.340, 0.389, 0.846], [0.373, 0.320, 0.178], [0.376, 0.023, 0.681], [0.975, 0.724, 0.677], [0.978, 0.021, 0.175], [0.035, 0.125, 0.569], [0.039, 0.554, 0.068], [0.045, 0.512, 0.344], [0.051, 0.161, 0.848], [0.132, 0.873, 0.908], [0.136, 0.716, 0.402], [0.140, 0.717, 0.684], [0.141, 0.867, 0.182], [0.155, 0.671, 0.282], [0.159, 0.678, 0.008], [0.160, 0.888, 0.507], [0.164, 0.890, 0.788], [0.187, 0.378, 0.568], [0.193, 0.156, 0.350], [0.193, 0.365, 0.854], [0.199, 0.154, 0.064], [0.204, 0.338, 0.170], [0.207, 0.171, 0.675], [0.225, 0.325, 0.450], [0.226, 0.162, 0.958], [0.308, 0.900, 0.011], [0.310, 0.531, 0.511], [0.311, 0.491, 0.793], [0.315, 0.917, 0.289], [0.352, 0.492, 0.180], [0.357, 0.870, 0.683], [0.366, 0.879, 0.395], [0.370, 0.464, 0.899], [0.450, 0.223, 0.231], [0.453, 0.042, 0.735], [0.475, 0.037, 0.015], [0.481, 0.244, 0.125], [0.487, 0.992, 0.630], [0.492, 0.221, 0.841], [0.494, 0.002, 0.340], [0.497, 0.202, 0.511], [0.509, 0.699, 0.181], [0.513, 0.510, 0.682], [0.518, 0.679, 0.506], [0.521, 0.528, 0.007], [0.531, 0.464, 0.400], [0.537, 0.730, 0.906], [0.564, 0.650, 0.789], [0.582, 0.495, 0.283], [0.641, 0.208, 0.336], [0.643, 0.873, 0.838], [0.652, 0.828, 0.114], [0.663, 0.226, 0.620], [0.699, 0.175, 0.019], [0.706, 0.821, 0.231], [0.708, 0.208, 0.738], [0.710, 0.837, 0.521], [0.772, 0.547, 0.573], [0.781, 0.392, 0.072], [0.819, 0.584, 0.455], [0.827, 0.310, 0.956], [0.830, 0.524, 0.849], [0.836, 0.364, 0.351], [0.847, 0.542, 0.176], [0.853, 0.333, 0.676], [0.856, 0.841, 0.344], [0.857, 0.022, 0.846], [0.857, 0.816, 0.015], [0.860, 0.039, 0.516], [0.864, 0.056, 0.226], [0.867, 0.799, 0.730], [0.897, 0.826, 0.625], [0.902, 0.997, 0.121], [0.988, 0.167, 0.463], [0.994, 0.555, 0.674], [0.996, 0.560, 0.962], [0.998, 0.172, 0.171]]
}